# Li2DyTl

A relaxed structure of Li2DyTl (GGA-PBE, Materials Project).

The final energy is -2.924 eV/atom. Its energy of formation from the pure elements is -0.23 eV/atom.

It has space group Fm-3m (No. 225), with a = 6.861 Å, b = 6.861 Å, c = 6.861 Å, α = 90.00°, β = 90.00° and γ = 90.00°. Symmetry generates all atoms from Li at (0.250, 0.250, 0.250), Dy at (0.000, 0.000, 0.000) and Tl at (0.000, 0.000, 0.500).

***

# Dy3Lu

A relaxed structure of Dy3Lu (GGA-PBE, Materials Project).

The final energy is -4.575 eV/atom. Its energy of formation from the pure elements is 0.01 eV/atom.

It has space group P6_3/mmc (No. 194), with a = 7.1847 Å, b = 7.1847 Å, c = 5.6526 Å, α = 90.00°, β = 90.00° and γ = 120.00°. Symmetry generates all atoms from Dy at (0.1675, 0.3350, 0.2500) and Lu at (0.3333, 0.6667, 0.7500).

***

# Dy3Lu

A relaxed structure of Dy3Lu (GGA-PBE, Materials Project).

The final energy is -4.557 eV/atom. Its energy of formation from the pure elements is 0.03 eV/atom.

It has space group I4/mmm (No. 139), with a = 4.975 Å, b = 4.975 Å, c = 9.989 Å, α = 90.00°, β = 90.00° and γ = 90.00°. Symmetry generates all atoms from Dy at (0.000, 0.000, 0.000), Dy at (0.000, 0.500, 0.250) and Lu at (0.000, 0.000, 0.500).